Entry 1:
BaSi2Ir2: optimized geometry, r2SCAN.

Output
spin magnetization: 0.00 μB per atom
E: -30.6912 eV/atom
E_form: -938 meV per atom
SG: P2_1/c (14)

Structure (POSCAR):
```
BaSi2Ir2
1.0
6.734 0.000 0.000
0.000 7.751 -0.269
0.000 0.025 7.930
Ir Si Ba
8 8 4
Direct
0.895 0.114 0.621
0.605 0.614 0.621
0.166 0.170 0.137
0.334 0.670 0.137
0.834 0.830 0.863
0.666 0.330 0.863
0.105 0.886 0.379
0.395 0.386 0.379
0.648 0.314 0.564
0.581 0.628 0.926
0.919 0.128 0.926
0.419 0.372 0.074
0.352 0.686 0.436
0.081 0.872 0.074
0.852 0.814 0.564
0.148 0.186 0.436
0.619 0.998 0.235
0.119 0.502 0.765
0.381 0.002 0.765
0.881 0.498 0.235
```

Entry 2:
GdSnAu: optimized geometry, r2SCAN.

Output
spin magnetization: 2.35 μB per atom
E: -40.4586 eV/atom
E_form: -883 meV per atom
SG: P6_3mc (186)

Structure (POSCAR):
```
GdSnAu
1.0
-0.211 -4.110 2.265
0.797 0.093 -4.629
7.399 0.326 1.280
Gd Sn Au
2 2 2
Direct
0.000 0.000 0.399
0.000 0.000 0.899
0.333 0.667 0.623
0.667 0.333 0.123
0.667 0.333 0.722
0.333 0.667 0.222
```

Entry 3:
YbNdSe3: optimized geometry, r2SCAN.

Output
spin magnetization: 0.00 μB per atom
E: -23.9718 eV/atom
E_form: -2195 meV per atom
SG: Cmcm (63)

Structure (POSCAR):
```
YbNdSe3
1.0
-2.115 1.754 -6.277
0.568 -5.058 4.587
-8.948 2.317 3.662
Yb Se Nd
2 6 2
Direct
0.000 0.000 0.500
0.000 0.000 0.000
0.086 0.914 0.250
0.914 0.086 0.750
0.357 0.643 0.063
0.643 0.357 0.563
0.357 0.643 0.437
0.643 0.357 0.937
0.252 0.748 0.750
0.748 0.252 0.250
```